# 1
Rb2NaSbCl6 (PBE-GGA, relaxed); uncorrected energy = -3.360 eV/atom; ΔE_f = -1.8776 eV/atom; symmetry = Fm-3m, No. 225; total magnetization = 0.00 μB/f.u.
1.0
0.0000 5.4240 5.4240
5.4240 0.0000 5.4240
5.4240 5.4240 0.0000
Rb Sb Cl Na
2 1 6 1
direct
0.7500 0.7500 0.7500
0.2500 0.2500 0.2500
0.0000 0.0000 0.0000
0.2451 0.7549 0.2451
0.7549 0.7549 0.2451
0.2451 0.7549 0.7549
0.7549 0.2451 0.7549
0.7549 0.2451 0.2451
0.2451 0.2451 0.7549
0.5000 0.5000 0.5000



# 2
CuCl2 (PBE-GGA, relaxed); uncorrected energy = -2.909 eV/atom; ΔE_f = -0.7197 eV/atom; symmetry = P4/mmm, No. 123; total magnetization = 0.00 μB/f.u.
1.0
4.5206 0.0000 0.0000
0.0000 4.5206 0.0000
0.0000 0.0000 4.3177
Cl Cu
2 1
direct
0.0000 0.5000 0.0000
0.5000 0.0000 0.0000
0.0000 0.0000 0.0000



# 3
Ti2AlNi (PBE-GGA, relaxed); uncorrected energy = -6.594 eV/atom; ΔE_f = -0.2644 eV/atom; symmetry = F-43m, No. 216; total magnetization = 3.00 μB/f.u.
1.0
0.0000 3.0913 3.0913
3.0913 0.0000 3.0913
3.0913 3.0913 0.0000
Ti Ni Al
2 1 1
direct
0.7500 0.7500 0.7500
0.0000 0.0000 0.0000
0.5000 0.5000 0.5000
0.2500 0.2500 0.2500



# 4
MgNi6Ge6 (PBE-GGA, relaxed); uncorrected energy = -5.189 eV/atom; ΔE_f = -0.2646 eV/atom; symmetry = P6/mmm, No. 191; total magnetization = 0.00 μB/f.u.
1.0
-3.9113 3.2407 -0.4536
4.3773 1.5646 2.1005
2.6153 2.1677 -7.0648
Ge Ni Mg
6 6 1
direct
0.3333 0.6667 0.0000
0.6666 0.3334 0.5000
0.0000 0.0000 0.3395
0.0000 0.0000 0.6605
0.6666 0.3333 0.0000
0.3333 0.6666 0.5000
0.5000 0.0000 0.7509
0.5000 0.5000 0.2492
0.5000 0.5000 0.7508
0.5000 0.0000 0.2491
0.0000 0.5000 0.7508
0.0000 0.5000 0.2492
0.0000 0.0000 0.0000



# 5
HfGe2Rh (PBE-GGA, relaxed); uncorrected energy = -7.279 eV/atom; ΔE_f = -0.6376 eV/atom; symmetry = Pbam, No. 55; total magnetization = 0.00 μB/f.u.
1.0
8.0830 0.0000 0.0000
0.0000 9.3144 0.0000
0.0000 0.0000 10.5667
Hf Ge Rh
12 24 12
direct
0.7560 0.6701 0.9536
0.2440 0.6701 0.9536
0.7560 0.3299 0.0464
0.2440 0.1701 0.5464
0.2440 0.3299 0.0464
0.7560 0.1701 0.5464
0.0000 0.1654 0.8176
0.7560 0.8299 0.4536
0.0000 0.8346 0.1824
0.0000 0.3346 0.3176
0.2440 0.8299 0.4536
0.0000 0.6654 0.6824
0.0000 0.8671 0.9010
0.5000 0.0473 0.3878
0.3484 0.3451 0.3169
0.5000 0.4527 0.8878
0.3484 0.1549 0.8169
0.6516 0.6549 0.6831
0.0000 0.9621 0.6155
0.6516 0.8451 0.1831
0.0000 0.4621 0.8845
0.0000 0.6329 0.4010
0.6516 0.1549 0.8169
0.0000 0.0379 0.3845
0.0000 0.1329 0.0990
0.3484 0.8451 0.1831
0.0000 0.3671 0.5990
0.5000 0.9527 0.6122
0.5000 0.3613 0.5945
0.5000 0.8613 0.9055
0.0000 0.5379 0.1155
0.5000 0.5473 0.1122
0.5000 0.1387 0.0945
0.5000 0.6387 0.4055
0.6516 0.3451 0.3169
0.3484 0.6549 0.6831
0.7503 0.5993 0.2453
0.7519 0.0000 0.0000
0.7503 0.0993 0.2547
0.2497 0.0993 0.2547
0.2497 0.9007 0.7453
0.2481 0.5000 0.5000
0.7519 0.5000 0.5000
0.7503 0.4007 0.7547
0.2497 0.4007 0.7547
0.2481 0.0000 0.0000
0.7503 0.9007 0.7453
0.2497 0.5993 0.2453



# 6
Cs2YInBr6 (PBE-GGA, relaxed); uncorrected energy = -3.727 eV/atom; ΔE_f = -1.9641 eV/atom; symmetry = Fm-3m, No. 225; total magnetization = 0.00 μB/f.u.
1.0
0.0000 5.9921 5.9921
5.9921 0.0000 5.9921
5.9921 5.9921 0.0000
Br Y Cs In
6 1 2 1
direct
0.2340 0.7660 0.2340
0.7660 0.2340 0.2340
0.7660 0.7660 0.2340
0.2340 0.7660 0.7660
0.2340 0.2340 0.7660
0.7660 0.2340 0.7660
0.0000 0.0000 0.0000
0.2500 0.2500 0.2500
0.7500 0.7500 0.7500
0.5000 0.5000 0.5000



# 7
Li66Be24H35 (PBE-GGA, relaxed); uncorrected energy = -2.676 eV/atom; ΔE_f = -0.0502 eV/atom; symmetry = P1, No. 1; total magnetization = 0.01 μB/f.u.
1.0
-6.8584 7.7766 -1.3633
-5.6063 -3.5691 8.7165
7.7767 7.4999 6.6962
H Li Be
35 66 24
direct
0.1737 0.6078 0.6699
0.7376 0.0361 0.8035
0.5273 0.6492 0.9516
0.1992 0.0631 0.5233
0.2200 0.7780 0.0626
0.4609 0.0866 0.0270
0.4880 0.8752 0.0419
0.7645 0.2988 0.5551
0.2478 0.6689 0.5331
0.2475 0.2158 0.9093
0.5707 0.5430 0.0926
0.8602 0.9527 0.9859
0.0180 0.1016 0.6960
0.3748 0.6974 0.6984
0.2444 0.0203 0.7612
0.7266 0.2151 0.8940
0.1691 0.4606 0.9544
0.0439 0.0965 0.9803
0.3886 0.2454 0.5700
0.6081 0.2259 0.2628
0.6978 0.5397 0.4579
0.7769 0.6906 0.9747
0.4642 0.9430 0.6910
0.2265 0.5443 0.1253
0.6138 0.7473 0.8055
0.8833 0.7063 0.5498
0.7804 0.5656 0.1505
0.0839 0.5216 0.4790
0.9802 0.6875 0.7175
0.0241 0.6429 0.9993
0.5892 0.6434 0.6332
0.0749 0.9241 0.0871
0.5979 0.0745 0.4979
0.9341 0.8698 0.6580
0.9002 0.6005 0.3390
0.8744 0.5536 0.4732
0.3448 0.8781 0.7904
0.6650 0.4694 0.5959
0.5647 0.1453 0.1365
0.9032 0.7145 0.8582
0.3702 0.0012 0.4491
0.9115 0.8641 0.5107
0.6169 0.9111 0.7724
0.5315 0.5038 0.3993
0.2155 0.3080 0.3255
0.4625 0.4388 0.1493
0.1248 0.6753 0.1211
0.7179 0.6035 0.3039
0.0990 0.4102 0.7894
0.4485 0.2935 0.3042
0.1526 0.4301 0.6076
0.8431 0.2490 0.0860
0.8418 0.3464 0.8540
0.1166 0.1301 0.1374
0.6636 0.9125 0.4002
0.3477 0.3559 0.8714
0.3310 0.0329 0.2436
0.0205 0.1208 0.5457
0.5641 0.9200 0.1663
0.6870 0.7021 0.5250
0.8985 0.1030 0.8871
0.0636 0.6755 0.5653
0.5669 0.1291 0.3731
0.8473 0.0120 0.6837
0.1402 0.4096 0.1561
0.3842 0.7421 0.0654
0.0792 0.5931 0.3463
0.4656 0.7810 0.6016
0.3512 0.6199 0.8510
0.6714 0.5828 0.8780
0.2042 0.0506 0.9147
0.9315 0.7584 0.3049
0.4258 0.1071 0.7762
0.4477 0.7855 0.3362
0.5640 0.2166 0.5929
0.1224 0.9738 0.4099
0.1815 0.1785 0.7469
0.3458 0.2223 0.0446
0.4351 0.5455 0.6451
0.5738 0.3618 0.7686
0.6183 0.8056 0.9547
0.3079 0.5927 0.2497
0.2295 0.2203 0.5053
0.6224 0.0738 0.9483
0.8855 0.5363 0.0193
0.8861 0.5223 0.7146
0.6210 0.3212 0.9716
0.5913 0.9784 0.5981
0.1680 0.8046 0.9376
0.8914 0.4456 0.2438
0.0774 0.8905 0.7434
0.0115 0.9483 0.2144
0.9727 0.2113 0.3439
0.8900 0.7939 0.0624
0.7761 0.1245 0.5065
0.2557 0.9600 0.6173
0.7503 0.3541 0.4148
0.7628 0.1282 0.2525
0.6740 0.6871 0.1125
0.2729 0.5179 0.4536
0.0930 0.2861 0.9552
0.4901 0.5328 0.9905
0.8767 0.9912 0.3649
0.1111 0.6567 0.7658
0.1111 0.5820 0.9205
0.3918 0.9672 0.0227
0.3598 0.3333 0.6634
0.7105 0.1650 0.7801
0.2035 0.8085 0.2943
0.4166 0.3549 0.5114
0.2560 0.7719 0.4614
0.9544 0.2210 0.7162
0.9955 0.9814 0.0102
0.7997 0.9993 0.0925
0.0324 0.3962 0.4452
0.7769 0.9020 0.2303
0.2829 0.5176 0.0229
0.6642 0.3326 0.2226
0.9186 0.3301 0.5693
0.8661 0.7529 0.6621
0.6880 0.4668 0.1222
0.6821 0.7010 0.7121
0.2531 0.7208 0.6487
0.2175 0.8926 0.1231
0.7805 0.2768 0.6687



# 8
Ti9Mn2B8Ru18 (PBE-GGA, relaxed); uncorrected energy = -8.930 eV/atom; ΔE_f = -0.5586 eV/atom; symmetry = P4/mbm, No. 127; total magnetization = 2.44 μB/f.u.
1.0
17.6178 0.0000 0.0000
0.0000 17.6178 0.0000
0.0000 0.0000 2.9792
Ti Ru B Mn
18 36 16 4
direct
0.6726 0.1726 0.5000
0.8036 0.3036 0.5000
0.0000 0.0000 0.5000
0.3274 0.8274 0.5000
0.6964 0.8036 0.5000
0.5000 0.5000 0.5000
0.6862 0.5360 0.5000
0.9640 0.8138 0.5000
0.5360 0.3138 0.5000
0.3138 0.4640 0.5000
0.1964 0.6964 0.5000
0.1862 0.9640 0.5000
0.0360 0.1862 0.5000
0.1726 0.3274 0.5000
0.4640 0.6862 0.5000
0.3036 0.1964 0.5000
0.8138 0.0360 0.5000
0.8274 0.6726 0.5000
0.3329 0.9480 0.0000
0.0799 0.7452 0.0000
0.9480 0.6671 0.0000
0.7104 0.6685 0.0000
0.9201 0.2548 0.0000
0.4309 0.4016 0.0000
0.2452 0.5799 0.0000
0.5691 0.5984 0.0000
0.0691 0.9016 0.0000
0.0815 0.5815 0.0000
0.2104 0.8315 0.0000
0.7548 0.4201 0.0000
0.6671 0.0520 0.0000
0.6685 0.2896 0.0000
0.2896 0.3315 0.0000
0.1671 0.4480 0.0000
0.3315 0.7104 0.0000
0.4201 0.2452 0.0000
0.9016 0.9309 0.0000
0.5815 0.9185 0.0000
0.0520 0.3329 0.0000
0.5520 0.1671 0.0000
0.0984 0.0691 0.0000
0.8315 0.7896 0.0000
0.9309 0.0984 0.0000
0.4480 0.8329 0.0000
0.7896 0.1685 0.0000
0.9185 0.4185 0.0000
0.7452 0.9201 0.0000
0.1685 0.2104 0.0000
0.5799 0.7548 0.0000
0.5984 0.4309 0.0000
0.4016 0.5691 0.0000
0.2548 0.0799 0.0000
0.8329 0.5520 0.0000
0.4185 0.0815 0.0000
0.0360 0.6646 0.5000
0.5360 0.8354 0.5000
0.8298 0.8791 0.5000
0.3791 0.3298 0.5000
0.6702 0.3791 0.5000
0.3298 0.6209 0.5000
0.3354 0.0360 0.5000
0.8354 0.4640 0.5000
0.4640 0.1646 0.5000
0.9640 0.3354 0.5000
0.6646 0.9640 0.5000
0.1646 0.5360 0.5000
0.1702 0.1209 0.5000
0.1209 0.8298 0.5000
0.6209 0.6702 0.5000
0.8791 0.1702 0.5000
0.9539 0.5461 0.5000
0.5461 0.0461 0.5000
0.4539 0.9539 0.5000
0.0461 0.4539 0.5000



# 9
YMg6CdO8 (PBE-GGA, relaxed); energy above the most stable polymorph in this dataset = 0.000 eV per atom; uncorrected energy = -5.924 eV/atom; ΔE_f = -2.7311 eV/atom; symmetry = P4/mmm, No. 123; total magnetization = 0.00 μB/f.u.
1.0
9.0489 0.0000 0.0000
0.0000 4.5185 0.0000
0.0000 0.0000 4.5185
Mg O Cd Y
6 8 1 1
direct
0.7292 0.0000 0.5000
0.5000 0.5000 0.5000
0.5000 0.0000 0.0000
0.7292 0.5000 0.0000
0.2708 0.0000 0.5000
0.2708 0.5000 0.0000
0.5000 0.0000 0.5000
0.2595 0.0000 0.0000
0.5000 0.5000 0.0000
0.7405 0.0000 0.0000
0.7240 0.5000 0.5000
0.2760 0.5000 0.5000
0.0000 0.0000 0.5000
0.0000 0.5000 0.0000
0.0000 0.5000 0.5000
0.0000 0.0000 0.0000



# 10
GdAu2 (PBE-GGA, relaxed); uncorrected energy = -7.697 eV/atom; ΔE_f = -0.8227 eV/atom; symmetry = I4/mmm, No. 139
1.0
3.7962 0.0000 0.0000
0.0000 3.7962 0.0000
-1.8981 -1.8981 4.5605
Gd Au
1 2
direct
0.0000 0.0000 0.0000
0.3353 0.3353 0.6705
0.6647 0.6647 0.3295



# 11
RbHoS2O9 (PBE-GGA, relaxed); uncorrected energy = -6.229 eV/atom; ΔE_f = -2.2144 eV/atom; symmetry = P2_1/c, No. 14; total magnetization = 2.00 μB/f.u.
1.0
8.5563 0.0000 0.0000
0.0000 10.1926 0.0000
0.0000 4.8305 9.1894
Rb O S Ho
4 36 8 4
direct
0.6647 0.7817 0.6817
0.8353 0.7817 0.1817
0.3353 0.2183 0.3183
0.1647 0.2183 0.8183
0.0665 0.0912 0.6185
0.5665 0.9088 0.8815
0.6059 0.3652 0.1146
0.7555 0.0690 0.9190
0.2445 0.9310 0.0810
0.2555 0.9310 0.5810
0.4335 0.0912 0.1185
0.9090 0.6055 0.6140
0.7025 0.4373 0.7432
0.5155 0.1722 0.7994
0.7975 0.4373 0.2432
0.2107 0.9120 0.8232
0.4090 0.3945 0.8860
0.7049 0.5603 0.4774
0.9335 0.9088 0.3815
0.0155 0.8278 0.7006
0.7445 0.0690 0.4190
0.5910 0.6055 0.1140
0.3941 0.6348 0.8854
0.6201 0.3461 0.4342
0.2975 0.5627 0.2568
0.2951 0.4397 0.5226
0.2049 0.4397 0.0226
0.9845 0.1722 0.2994
0.0910 0.3945 0.3860
0.1201 0.6539 0.0658
0.7893 0.0880 0.1768
0.8799 0.3461 0.9342
0.7107 0.0880 0.6768
0.1059 0.6348 0.3854
0.2893 0.9120 0.3232
0.4845 0.8278 0.2006
0.8941 0.3652 0.6146
0.2025 0.5627 0.7568
0.3799 0.6539 0.5658
0.7951 0.5603 0.9774
0.6364 0.0604 0.8159
0.3036 0.5075 0.8910
0.1364 0.9396 0.6841
0.8636 0.0604 0.3159
0.3636 0.9396 0.1841
0.1964 0.5075 0.3910
0.6964 0.4925 0.1090
0.8036 0.4925 0.6090
0.1292 0.7518 0.5300
0.3708 0.7518 0.0300
0.8708 0.2482 0.4700
0.6292 0.2482 0.9700



Which of these has the lowest ΔE_f? YMg6CdO8



Among the records above, which one has the lowest uncorrected energy? Ti9Mn2B8Ru18